1.
Computed, not measured: a relaxed Cd4CoS5 crystal at the PBE level of DFT.

V = 24.458 A^3/atom
Uncorrected energy = -72.812 eV per cell
DFT formation energy = -0.744 eV per atom

Cell: 7.8784 7.8784 15.7420 Å, 92.45 92.45 30.07°
With the nearest neighbours (Å) after each atom.
Fractional coordinates of all 20 atoms:
1 Cd 0.0000 0.0000 0.0000  4 S 2.55-2.60
2 Cd 0.1350 0.1350 0.2226  4 S 2.56-2.60
3 Cd 0.2066 0.2066 0.5765  4 S 2.55-2.58
4 Cd 0.3356 0.3356 0.8203  4 S 2.53-2.55
5 Cd 0.5301 0.5301 0.4124  4 S 2.54-2.59
6 Cd 0.6020 0.6020 0.7882  4 S 2.56-2.59
7 Cd 0.7397 0.7397 0.0270  4 S 2.53-2.56
8 Cd 0.9326 0.9326 0.6143  4 S 2.54-2.55
9 Co 0.3993 0.3993 0.1965  4 S 2.30-2.41
10 Co 0.8053 0.8053 0.3770  4 S 2.30-2.39
11 S 0.0519 0.0519 0.5068  4 Cd 2.54-2.55
12 S 0.1872 0.1872 0.7386  4 Cd 2.55-2.58
13 S 0.2649 0.2649 0.1224  1 Co 2.31, 3 Cd 2.56-2.58
14 S 0.3748 0.3748 0.3394  3 Co 2.30-2.39
15 S 0.4513 0.4513 0.7096  4 Cd 2.53-2.56
16 S 0.5872 0.5872 0.9517  4 Cd 2.56-2.59
17 S 0.6644 0.6644 0.3172  1 Co 2.30, 2 Cd 2.56
18 S 0.7898 0.7898 0.5225  1 Co 2.31, 3 Cd 2.55-2.57
19 S 0.8535 0.8535 0.9146  4 Cd 2.53-2.55
20 S 0.9731 0.9731 0.1621  2 Co 2.41, 2 Cd 2.60

***

2.
Computed, not measured: a relaxed Cr8Cd3CuS16 crystal at the PBE level of DFT.

V = 18.930 A^3/atom
Uncorrected energy = -169.071 eV per cell
DFT formation energy = -0.959 eV per atom

Cell: 12.4115 12.4115 12.4115 Å, 33.90 33.90 33.90°
With the nearest neighbours (Å) after each atom.
Fractional coordinates of all 28 atoms:
1 Cr 0.0000 0.0000 0.0000  6 S 2.41-2.44
2 Cr 0.2432 0.2432 0.7464  6 S 2.38-2.44
3 Cr 0.2432 0.7464 0.2432  6 S 2.38-2.44
4 Cr 0.2513 0.7475 0.7475  6 S 2.39-2.43
5 Cr 0.4967 0.4967 0.4967  6 S 2.41-2.42
6 Cr 0.7464 0.2432 0.2432  6 S 2.38-2.44
7 Cr 0.7475 0.2513 0.7475  6 S 2.39-2.43
8 Cr 0.7475 0.7475 0.2513  6 S 2.39-2.43
9 Cd 0.1841 0.1841 0.1841  4 S 2.51-2.53
10 Cd 0.3084 0.3084 0.3084  4 S 2.47-2.48
11 Cd 0.8088 0.8088 0.8088  4 S 2.50-2.52
12 Cu 0.6846 0.6846 0.6846  4 S 2.33-2.34
13 S 0.0986 0.0986 0.6639  3 Cr 2.39-2.44, 1 Cd 2.48
14 S 0.0986 0.6639 0.0986  3 Cr 2.39-2.44, 1 Cd 2.48
15 S 0.1121 0.1121 0.1121  3 Cr 2.40, 1 Cd 2.53
16 S 0.1614 0.5967 0.5967  3 Cr 2.41-2.44, 1 Cd 2.50
17 S 0.3528 0.8832 0.8832  1 Cu 2.34, 3 Cr 2.41-2.42
18 S 0.3789 0.3789 0.3789  3 Cr 2.38, 1 Cd 2.47
19 S 0.3965 0.3965 0.8329  3 Cr 2.41-2.42, 1 Cd 2.51
20 S 0.3965 0.8329 0.3965  3 Cr 2.41-2.42, 1 Cd 2.51
21 S 0.5967 0.1614 0.5967  3 Cr 2.41-2.44, 1 Cd 2.50
22 S 0.5967 0.5967 0.1614  3 Cr 2.41-2.44, 1 Cd 2.50
23 S 0.6182 0.6182 0.6182  1 Cu 2.33, 3 Cr 2.43
24 S 0.6639 0.0986 0.0986  3 Cr 2.39-2.44, 1 Cd 2.48
25 S 0.8329 0.3965 0.3965  3 Cr 2.41-2.42, 1 Cd 2.51
26 S 0.8807 0.8807 0.8807  3 Cr 2.43, 1 Cd 2.52
27 S 0.8832 0.3528 0.8832  1 Cu 2.34, 3 Cr 2.41-2.42
28 S 0.8832 0.8832 0.3528  1 Cu 2.34, 3 Cr 2.41-2.42

***

3.
Computed, not measured: a relaxed Mg14CrCd crystal at the PBE level of DFT.

Energy relative to the lowest polymorph listed for this composition = 3.7 meV/atom
V = 22.204 A^3/atom
Uncorrected energy = -32.076 eV per cell
DFT formation energy = 0.056 eV per atom

Cell: 10.2499 6.3257 6.3257 Å, 60.02 90.00 90.00°
With the nearest neighbours (Å) after each atom.
Fractional coordinates of all 16 atoms:
1 Mg 0.0000 0.9997 0.9997  12 Mg 3.14-3.18
2 Mg 0.0000 0.9997 0.5003  12 Mg 3.15-3.19
3 Mg 0.0000 0.5003 0.9997  12 Mg 3.15-3.19
4 Mg 0.0000 0.5000 0.5000  12 Mg 3.15-3.17
5 Mg 0.2497 0.1664 0.1664  11 Mg 3.14-3.17, 1 Cd 3.15
6 Mg 0.2518 0.6647 0.6647  1 Cr 3.11, 11 Mg 3.12-3.20
7 Mg 0.2541 0.1704 0.6653  1 Cr 3.10, 1 Cd 3.12, 10 Mg 3.12-3.20
8 Mg 0.2541 0.6653 0.1704  1 Cr 3.10, 1 Cd 3.12, 10 Mg 3.12-3.20
9 Mg 0.5000 0.5017 0.9976  8 Mg 3.12-3.19, 2 Cr 3.15-3.18, 2 Cd 3.15-3.17
10 Mg 0.5000 0.9976 0.5017  8 Mg 3.12-3.19, 2 Cr 3.15-3.18, 2 Cd 3.15-3.17
11 Mg 0.7459 0.1704 0.6653  1 Cr 3.10, 1 Cd 3.12, 10 Mg 3.12-3.20
12 Mg 0.7459 0.6653 0.1704  1 Cr 3.10, 1 Cd 3.12, 10 Mg 3.12-3.20
13 Mg 0.7482 0.6647 0.6647  1 Cr 3.11, 11 Mg 3.12-3.20
14 Mg 0.7503 0.1664 0.1664  11 Mg 3.14-3.17, 1 Cd 3.15
15 Cr 0.5000 0.5007 0.5007  10 Mg 3.10-3.18, 2 Cd 3.16
16 Cd 0.5000 0.9993 0.9993  10 Mg 3.12-3.17, 2 Cr 3.16

***

4.
Computed, not measured: a relaxed Mg14CrCd crystal at the PBE level of DFT.

Energy relative to the lowest polymorph listed for this composition = 0.0 meV/atom
V = 22.015 A^3/atom
Uncorrected energy = -32.136 eV per cell
DFT formation energy = 0.053 eV per atom

Cell: 6.3157 6.3157 10.1970 Å, 90.00 90.00 120.00°
With the nearest neighbours (Å) after each atom.
Fractional coordinates of all 16 atoms:
1 Mg 0.0000 0.0000 0.2503  12 Mg 3.13-3.16
2 Mg 0.0000 0.0000 0.7497  12 Mg 3.13-3.16
3 Mg 0.0041 0.5021 0.2485  1 Cr 3.11, 10 Mg 3.12-3.20, 1 Cd 3.13
4 Mg 0.0041 0.5021 0.7515  1 Cr 3.11, 10 Mg 3.12-3.20, 1 Cd 3.13
5 Mg 0.3323 0.1662 0.5000  10 Mg 3.13-3.17, 2 Cd 3.16
6 Mg 0.3340 0.1670 0.0000  10 Mg 3.13-3.16, 2 Cr 3.16
7 Mg 0.4979 0.5021 0.2485  1 Cr 3.11, 10 Mg 3.12-3.20, 1 Cd 3.13
8 Mg 0.4979 0.5021 0.7515  1 Cr 3.11, 10 Mg 3.12-3.20, 1 Cd 3.13
9 Mg 0.4979 0.9959 0.2485  1 Cr 3.11, 10 Mg 3.12-3.20, 1 Cd 3.13
10 Mg 0.4979 0.9959 0.7515  1 Cr 3.11, 10 Mg 3.12-3.20, 1 Cd 3.13
11 Mg 0.8330 0.1670 0.0000  10 Mg 3.13-3.16, 2 Cr 3.16
12 Mg 0.8330 0.6660 0.0000  10 Mg 3.13-3.16, 2 Cr 3.16
13 Mg 0.8338 0.1662 0.5000  10 Mg 3.13-3.17, 2 Cd 3.16
14 Mg 0.8338 0.6677 0.5000  10 Mg 3.13-3.17, 2 Cd 3.16
15 Cr 0.3333 0.6667 0.0000  12 Mg 3.11-3.16
16 Cd 0.3333 0.6667 0.5000  12 Mg 3.13-3.16

***

5.
Computed, not measured: a relaxed MnCr4CdS8 crystal at the PBE level of DFT.

V = 19.189 A^3/atom
Uncorrected energy = -91.534 eV per cell
DFT formation energy = -0.984 eV per atom

Cell: 7.2426 7.2426 7.2426 Å, 60.00 60.00 60.00°
With the nearest neighbours (Å) after each atom.
Fractional coordinates of all 14 atoms:
1 Mn 0.0000 0.0000 0.0000  4 S 2.41
2 Cr 0.3752 0.3752 0.3752  6 S 2.40-2.46
3 Cr 0.3752 0.3752 0.8743  6 S 2.40-2.46
4 Cr 0.3752 0.8743 0.3752  6 S 2.40-2.46
5 Cr 0.8743 0.3752 0.3752  6 S 2.40-2.46
6 Cd 0.7500 0.7500 0.7500  4 S 2.50
7 S 0.1360 0.1360 0.1360  1 Mn 2.41, 3 Cr 2.46
8 S 0.1360 0.1360 0.5919  1 Mn 2.41, 3 Cr 2.46
9 S 0.1360 0.5919 0.1360  1 Mn 2.41, 3 Cr 2.46
10 S 0.1735 0.6088 0.6088  3 Cr 2.40, 1 Cd 2.50
11 S 0.5919 0.1360 0.1360  1 Mn 2.41, 3 Cr 2.46
12 S 0.6088 0.1735 0.6088  3 Cr 2.40, 1 Cd 2.50
13 S 0.6088 0.6088 0.1735  3 Cr 2.40, 1 Cd 2.50
14 S 0.6088 0.6088 0.6088  3 Cr 2.40, 1 Cd 2.50

***

6.
Computed, not measured: a relaxed MnCr4CdSe8 crystal at the PBE level of DFT.

V = 22.424 A^3/atom
Uncorrected energy = -84.243 eV per cell
Maximum piezoelectric response = 0.1 C/m²
DFT formation energy = -0.811 eV per atom

Cell: 7.6287 7.6287 7.6287 Å, 60.00 60.00 60.00°
With the nearest neighbours (Å) after each atom.
Fractional coordinates of all 14 atoms:
1 Mn 0.0000 0.0000 0.0000  4 Se 2.54
2 Cr 0.3748 0.3748 0.3748  6 Se 2.54-2.58
3 Cr 0.3748 0.3748 0.8756  6 Se 2.54-2.58
4 Cr 0.3748 0.8756 0.3748  6 Se 2.54-2.58
5 Cr 0.8756 0.3748 0.3748  6 Se 2.54-2.58
6 Cd 0.7500 0.7500 0.7500  4 Se 2.63
7 Se 0.1360 0.1360 0.1360  1 Mn 2.54, 3 Cr 2.58
8 Se 0.1360 0.1360 0.5919  1 Mn 2.54, 3 Cr 2.58
9 Se 0.1360 0.5919 0.1360  1 Mn 2.54, 3 Cr 2.58
10 Se 0.1715 0.6095 0.6095  3 Cr 2.54, 1 Cd 2.63
11 Se 0.5919 0.1360 0.1360  1 Mn 2.54, 3 Cr 2.58
12 Se 0.6095 0.1715 0.6095  3 Cr 2.54, 1 Cd 2.63
13 Se 0.6095 0.6095 0.1715  3 Cr 2.54, 1 Cd 2.63
14 Se 0.6095 0.6095 0.6095  3 Cr 2.54, 1 Cd 2.63

***

7.
Computed, not measured: a relaxed Cr2CdS4 crystal at the PBE level of DFT.

V = 19.657 A^3/atom
Uncorrected energy = -83.373 eV per cell
DFT formation energy = -0.989 eV per atom

Cell: 7.3011 7.3011 7.3011 Å, 60.00 60.00 60.00°
With the nearest neighbours (Å) after each atom.
Fractional coordinates of all 14 atoms:
1 Cr 0.0000 0.0000 0.0000  6 S 2.43
2 Cr 0.0000 0.0000 0.5000  6 S 2.43
3 Cr 0.0000 0.5000 0.0000  6 S 2.43
4 Cr 0.5000 0.0000 0.0000  6 S 2.43
5 Cd 0.3750 0.3750 0.3750  4 S 2.53
6 Cd 0.6250 0.6250 0.6250  4 S 2.53
7 S 0.2014 0.7662 0.7662  3 Cr 2.43, 1 Cd 2.53
8 S 0.2338 0.2338 0.2338  3 Cr 2.43, 1 Cd 2.53
9 S 0.2338 0.2338 0.7986  3 Cr 2.43, 1 Cd 2.53
10 S 0.2338 0.7986 0.2338  3 Cr 2.43, 1 Cd 2.53
11 S 0.7662 0.2014 0.7662  3 Cr 2.43, 1 Cd 2.53
12 S 0.7662 0.7662 0.2014  3 Cr 2.43, 1 Cd 2.53
13 S 0.7662 0.7662 0.7662  3 Cr 2.43, 1 Cd 2.53
14 S 0.7986 0.2338 0.2338  3 Cr 2.43, 1 Cd 2.53

***

8.
Computed, not measured: a relaxed Cr2CdSe4 crystal at the PBE level of DFT.

V = 22.989 A^3/atom
Uncorrected energy = -76.308 eV per cell
DFT formation energy = -0.833 eV per atom

Cell: 7.6923 7.6923 7.6923 Å, 60.00 60.00 60.00°
With the nearest neighbours (Å) after each atom.
Fractional coordinates of all 14 atoms:
1 Cr 0.0000 0.0000 0.0000  6 Se 2.56
2 Cr 0.0000 0.0000 0.5000  6 Se 2.56
3 Cr 0.0000 0.5000 0.0000  6 Se 2.56
4 Cr 0.5000 0.0000 0.0000  6 Se 2.56
5 Cd 0.3750 0.3750 0.3750  4 Se 2.65
6 Cd 0.6250 0.6250 0.6250  4 Se 2.65
7 Se 0.2029 0.7657 0.7657  3 Cr 2.56, 1 Cd 2.65
8 Se 0.2343 0.2343 0.2343  3 Cr 2.56, 1 Cd 2.65
9 Se 0.2343 0.2343 0.7971  3 Cr 2.56, 1 Cd 2.65
10 Se 0.2343 0.7971 0.2343  3 Cr 2.56, 1 Cd 2.65
11 Se 0.7657 0.2029 0.7657  3 Cr 2.56, 1 Cd 2.65
12 Se 0.7657 0.7657 0.2029  3 Cr 2.56, 1 Cd 2.65
13 Se 0.7657 0.7657 0.7657  3 Cr 2.56, 1 Cd 2.65
14 Se 0.7971 0.2343 0.2343  3 Cr 2.56, 1 Cd 2.65

***

Which formula does entry 4 have? Mg14CrCd